No. 1
YReN3 | PBE-GGA | optimized geometry

Structure (POSCAR):
```
YReN3
1.0
-3.088 -4.030 1.849
0.061 -2.386 -5.099
6.339 -3.969 1.933
Y Re N
4 4 12
Direct
0.488 0.439 0.250
0.012 0.939 0.250
0.512 0.561 0.750
0.988 0.061 0.750
0.500 0.000 0.500
0.000 0.500 0.000
0.000 0.500 0.500
0.500 0.000 0.000
0.700 0.297 0.543
0.300 0.703 0.043
0.200 0.203 0.043
0.418 0.982 0.750
0.918 0.518 0.250
0.300 0.703 0.457
0.800 0.797 0.957
0.700 0.297 0.957
0.800 0.797 0.543
0.082 0.482 0.750
0.200 0.203 0.457
0.582 0.018 0.250
```

No. 2
Ho2Zr2O7 | PBE-GGA | optimized geometry

Structure (POSCAR):
```
Ho2Zr2O7
1.0
-4.201 -5.416 2.973
-4.234 1.419 5.991
-7.438 0.255 -0.658
Ho Zr O
4 4 14
Direct
0.125 0.125 0.625
0.125 0.625 0.125
0.125 0.125 0.125
0.625 0.125 0.125
0.125 0.625 0.625
0.625 0.625 0.625
0.625 0.125 0.625
0.625 0.625 0.125
0.283 0.717 0.717
0.533 0.967 0.967
0.717 0.283 0.717
0.717 0.717 0.283
0.283 0.717 0.283
0.283 0.283 0.717
0.000 0.000 0.000
0.250 0.250 0.250
0.967 0.533 0.967
0.533 0.533 0.967
0.967 0.967 0.533
0.533 0.967 0.533
0.717 0.283 0.283
0.967 0.533 0.533
```

No. 3
NaTa4O8 | PBE-GGA | optimized geometry

Structure (POSCAR):
```
NaTa4O8
1.0
2.508 -5.303 4.016
0.700 4.078 5.781
-9.179 -1.301 2.844
Na Ta O
3 12 24
Direct
0.617 0.383 0.116
0.906 0.094 0.405
0.381 0.619 0.883
0.101 0.899 0.100
0.602 0.398 0.603
0.396 0.604 0.397
0.899 0.101 0.897
0.597 0.837 0.619
0.105 0.331 0.113
0.669 0.895 0.113
0.163 0.403 0.619
0.330 0.104 0.885
0.837 0.599 0.382
0.401 0.163 0.382
0.896 0.670 0.885
0.586 0.084 0.250
0.082 0.579 0.753
0.421 0.918 0.753
0.916 0.414 0.250
0.809 0.810 0.500
0.326 0.326 0.000
0.190 0.191 0.500
0.674 0.674 0.000
0.179 0.092 0.236
0.679 0.593 0.734
0.129 0.595 0.453
0.629 0.100 0.958
0.092 0.183 0.765
0.593 0.679 0.265
0.599 0.130 0.545
0.100 0.629 0.043
0.817 0.908 0.765
0.321 0.407 0.265
0.870 0.401 0.545
0.371 0.900 0.043
0.908 0.821 0.236
0.407 0.321 0.734
0.405 0.871 0.453
0.900 0.371 0.958
```

No. 4
Rb4Hf3S14 | PBE-GGA | optimized geometry

Structure (POSCAR):
```
Rb4Hf3S14
1.0
4.205 11.037 0.000
-4.205 11.037 0.000
0.000 5.364 12.760
Rb Hf S
8 6 28
Direct
0.022 0.384 0.890
0.616 0.978 0.610
0.978 0.616 0.110
0.384 0.022 0.390
0.197 0.672 0.644
0.328 0.803 0.856
0.803 0.328 0.356
0.672 0.197 0.144
0.921 0.416 0.588
0.584 0.079 0.912
0.079 0.584 0.412
0.416 0.921 0.088
0.766 0.234 0.750
0.234 0.766 0.250
0.885 0.195 0.894
0.805 0.115 0.606
0.115 0.805 0.106
0.195 0.885 0.394
0.654 0.484 0.585
0.516 0.346 0.915
0.346 0.516 0.415
0.484 0.654 0.085
0.071 0.100 0.632
0.900 0.929 0.868
0.929 0.900 0.368
0.100 0.071 0.132
0.761 0.431 0.793
0.569 0.239 0.707
0.239 0.569 0.207
0.431 0.761 0.293
0.990 0.568 0.601
0.432 0.010 0.899
0.010 0.432 0.399
0.568 0.990 0.101
0.853 0.810 0.832
0.190 0.147 0.668
0.147 0.190 0.168
0.810 0.853 0.332
0.311 0.405 0.890
0.595 0.689 0.610
0.689 0.595 0.110
0.405 0.311 0.390
```

| no. | DFT formation energy (meV/atom) |
| --- | --- |
| 1 | -888 |
| 2 | -3864 |
| 3 | -3025 |
| 4 | -1449 |